No. 1
Entry from the Materials Project: a relaxed structure of V3O8 (PBE with a Hubbard U).

Lattice parameters (Å, degrees): 2.876 9.832 10.274 101.92 89.90 98.40
Sites, in units of the cell vectors:
O 0.276 0.569 0.695
O 0.665 0.334 0.556
O 0.450 0.949 0.626
O 0.712 0.430 0.302
O 0.913 0.811 0.289
O 0.501 0.948 0.127
O 0.098 0.190 0.212
O 0.291 0.571 0.198
O 0.895 0.809 0.785
O 0.548 0.053 0.374
O 0.324 0.663 0.939
O 0.669 0.337 0.058
O 0.090 0.190 0.712
O 0.336 0.664 0.443
O 0.497 0.050 0.873
O 0.712 0.429 0.800
V 0.916 0.000 0.250
V 0.173 0.349 0.170
V 0.831 0.651 0.331
V 0.176 0.348 0.668
V 0.081 0.999 0.749
V 0.819 0.650 0.828

uncorrected energy = -7.123 eV per atom
offset from the most stable computed form = 47 meV per atom
E_form = -2010 meV per atom
symmetry = P1, No. 1

=====

No. 2
Entry from the Materials Project: a relaxed structure of LaCrAsO (PBE with a Hubbard U).

Lattice parameters (Å, degrees): 4.234 4.233 17.862 89.97 90.01 89.93
Sites, in units of the cell vectors:
O 0.250 0.750 0.500
O 0.250 0.750 0.000
O 0.750 0.250 0.500
O 0.750 0.250 0.000
La 0.750 0.750 0.935
La 0.250 0.250 0.064
La 0.750 0.750 0.436
La 0.250 0.250 0.565
Cr 0.250 0.750 0.750
Cr 0.750 0.250 0.250
Cr 0.250 0.750 0.250
Cr 0.750 0.250 0.750
As 0.750 0.750 0.165
As 0.250 0.250 0.335
As 0.750 0.750 0.665
As 0.250 0.250 0.835

uncorrected energy = -7.251 eV per atom
offset from the most stable computed form = 0 meV per atom
E_form = -1873 meV per atom